Material: Li2TiNiO4
Method: DFT, PBE+U
State: optimized geometry

extended XYZ file:
```
32
Lattice="3.032 3.005 -4.120 -2.954 -2.915 -4.292 -5.834 5.898 0.008" Properties=species:S:1:pos:R:3 pbc="T T T"
Li -5.833 2.989 -4.243
Li 0.077 3.000 -4.161
Li -4.356 4.446 -2.097
Li -1.400 1.542 -6.307
Li -5.871 0.034 -4.288
Li -5.795 5.943 -4.198
Li -4.355 1.536 -6.348
Li -7.311 4.441 -2.138
Ti -1.362 4.497 -6.262
Ti -4.318 7.401 -2.052
Ti -2.878 2.994 -4.202
Ti -5.756 5.988 -8.404
Ni -2.916 0.039 -4.247
Ni -1.439 1.497 -2.101
Ni -2.840 5.949 -4.157
Ni -4.317 4.491 -6.303
O -2.756 5.862 -6.232
O 0.122 2.868 -2.030
O -1.451 7.494 -4.085
O -1.528 1.585 -4.175
O -4.304 -1.506 -4.319
O -4.228 4.403 -4.229
O -3.000 0.126 -2.172
O -5.878 3.120 -6.374
O -2.779 3.069 -6.211
O -5.735 5.973 -2.001
O -1.435 4.396 -4.253
O -7.345 4.385 -4.335
O -4.321 1.592 -4.151
O 1.589 1.603 -4.069
O -2.977 2.920 -2.193
O -0.021 0.015 -6.403
```

Computed properties:
As for the theoretical density: 4.17 g/cm3. Its magnetization is 0.00 μB/f.u.

***

Material: LaZnFeMoO6
Method: DFT, PBE+U
State: optimized geometry

extended XYZ file:
```
20
Lattice="4.457 -2.081 2.444 1.593 6.996 3.190 -3.252 -1.364 4.625" Properties=species:S:1:pos:R:3 pbc="T T T"
La 4.581 -0.398 3.450
La 1.891 3.623 5.606
Zn 1.260 0.183 3.803
Zn 5.207 3.091 5.263
Fe -0.200 1.125 7.388
Fe 2.732 -2.775 4.855
Mo 0.633 4.610 8.904
Mo -0.919 2.749 4.033
O 3.904 3.932 4.070
O -0.547 0.851 3.313
O 1.716 5.930 4.371
O 2.816 1.208 4.550
O 0.970 3.191 3.166
O 2.229 -1.506 3.268
O 3.651 2.661 6.925
O 2.182 0.844 1.850
O -0.038 2.269 5.701
O 1.137 -2.369 5.821
O 0.672 5.105 6.997
O 1.811 0.463 7.079
```

Computed properties:
As for the theoretical density: 5.99 g/cm3. Its magnetization is 6.00 μB/f.u. For the offset from the most stable computed form, the calculation gives 0.016 eV/atom.

***

Material: MgV28O70
Method: DFT, PBE+U
State: optimized geometry

extended XYZ file:
```
99
Lattice="-8.567 9.489 8.619 -3.641 -0.387 -3.193 -3.372 -19.770 6.239" Properties=species:S:1:pos:R:3 pbc="T T T"
Mg -3.078 -5.180 -0.401
V -6.038 -12.636 1.776
V -7.191 -15.160 3.527
V -3.007 -9.434 3.665
V -9.094 -16.727 5.818
V -1.439 -2.463 1.197
V -2.601 -4.967 2.900
V -7.718 -9.763 3.321
V -8.966 -11.669 5.725
V -4.147 0.136 -1.928
V -4.609 -6.570 5.176
V -10.782 -13.922 7.371
V -3.150 0.453 2.739
V -9.354 -6.935 4.896
V -10.482 -9.114 7.145
V -5.099 -1.550 4.515
V -6.228 -3.740 6.760
V -12.469 -11.099 8.901
V -4.808 3.262 4.292
V -11.010 -4.126 6.477
V -11.510 -10.825 13.530
V -6.618 0.999 5.939
V -7.889 -0.932 8.310
V -12.845 -5.686 8.827
V -14.127 -8.224 10.465
V -6.506 6.083 5.806
V -12.648 -1.226 7.930
V -8.309 4.502 8.262
V -9.544 1.990 9.901
O -3.292 -18.618 5.852
O -6.753 -16.424 2.354
O -4.809 -12.459 2.797
O -5.978 -15.081 4.588
O -1.544 -8.688 2.811
O -7.297 -13.567 2.690
O -8.685 -15.671 4.434
O -7.857 -16.606 6.837
O -4.208 -9.441 2.598
O -3.473 -10.589 5.172
O -4.820 -6.356 -0.674
O -3.526 -8.162 4.938
O -10.466 -15.607 6.526
O -7.566 -12.416 5.995
O -2.594 -2.946 0.124
O -3.605 -5.161 1.586
O -6.533 -9.662 4.403
O -5.279 -10.496 7.287
O -5.644 -3.731 -0.340
O -3.413 -5.456 4.448
O -10.312 -12.859 5.978
O -5.792 -6.707 4.095
O -9.579 -13.756 8.426
O -2.935 0.329 -0.889
O -1.805 -0.689 2.047
O -8.729 -8.150 3.551
O -9.159 -10.332 6.931
O -1.800 1.749 1.834
O -5.240 -5.361 6.507
O -5.440 -2.483 3.248
O -12.175 -12.788 8.042
O -4.396 0.318 1.732
O -8.146 -6.844 5.955
O -10.541 -8.074 5.660
O -3.610 -0.588 4.156
O -8.348 -9.670 10.687
O -5.040 -2.596 6.001
O -7.429 -3.829 5.694
O -11.245 -10.945 9.931
O -3.416 2.140 3.604
O -10.133 -8.182 8.409
O -10.348 -5.322 5.146
O -10.168 -12.011 12.978
O -6.426 -0.336 4.729
O -6.868 -2.539 8.107
O -10.221 -9.583 12.745
O -12.710 -11.074 12.491
O -6.017 3.094 3.245
O -9.839 -3.991 7.569
O -5.272 2.194 5.685
O -12.197 -5.265 7.178
O -13.493 -7.359 9.003
O -6.674 0.189 7.556
O -9.051 -1.052 7.205
O -11.641 -5.508 9.886
O -12.948 -8.145 11.556
O -8.020 1.747 5.678
O -5.128 4.954 5.131
O -8.459 -2.145 9.899
O -14.098 -4.508 9.286
O -8.541 0.283 9.610
O -11.451 -1.163 9.002
O -7.733 5.964 4.774
O -6.942 5.050 7.200
O -11.729 2.579 5.835
O -10.487 -1.563 11.990
O -9.751 4.436 7.432
O -10.802 2.217 8.859
O -12.269 5.234 6.417
O -8.710 8.292 8.926
```

Computed properties:
As for the theoretical density: 2.87 g/cm3. Its magnetization is 2.01 μB/f.u. For the offset from the most stable computed form, the calculation gives 0.000 eV/atom.

***

Formation enthalpy at 0 K in kJ/mol of formula units, matching the order above: -1934 -2216 -21919